## HoSi2Pd2 (r²SCAN)

Data for an optimized crystal structure of HoSi2Pd2.

a = 4.117 Å, b = 4.117 Å, c = 5.755 Å
α = 110.96°, β = 110.96°, γ = 90.00°
Sites, in units of the cell vectors:
Si: 0.616 0.616 0.232
Si: 0.384 0.384 0.768
Pd: 0.750 0.250 0.500
Pd: 0.250 0.750 0.500
Ho: 0.000 0.000 0.000

## Properties
SG	I4/mmm (139)
volume	16.83	A^3/atom
total magnetization	0.00	μB per cell
final energy	-20.238	eV per atom
energy of formation	-4.84	eV per formula unit